Material: KAgP2O6
Method: DFT, GGA-PBE
State: optimized geometry

Properties
The value obtained for the energy is -6.367 eV per atom. Its formation energy is -2.33 eV/atom. For the size of the total moment, the calculation gives 0.0 μB per cell. The crystal system is monoclinic.

Cell lengths 6.154, 13.374, 7.623 Å; angles 90.00, 94.35, 90.00 degrees
Fractional coordinates of all 40 atoms:
K 0.200 0.169 0.268
K 0.200 0.331 0.768
K 0.800 0.669 0.232
K 0.800 0.831 0.732
Ag 0.313 0.028 0.697
Ag 0.313 0.472 0.197
Ag 0.687 0.528 0.803
Ag 0.687 0.972 0.303
P 0.186 0.632 0.849
P 0.186 0.868 0.349
P 0.348 0.674 0.494
P 0.348 0.826 0.994
P 0.652 0.174 0.006
P 0.652 0.326 0.506
P 0.814 0.132 0.651
P 0.814 0.368 0.151
O 0.039 0.151 0.594
O 0.039 0.349 0.094
O 0.178 0.671 0.647
O 0.178 0.829 0.147
O 0.237 0.622 0.336
O 0.237 0.878 0.836
O 0.286 0.529 0.864
O 0.286 0.971 0.364
O 0.361 0.706 0.953
O 0.361 0.794 0.453
O 0.425 0.147 0.938
O 0.425 0.353 0.438
O 0.575 0.647 0.562
O 0.575 0.853 0.062
O 0.639 0.206 0.547
O 0.639 0.294 0.047
O 0.714 0.029 0.636
O 0.714 0.471 0.136
O 0.763 0.122 0.164
O 0.763 0.378 0.664
O 0.822 0.171 0.853
O 0.822 0.329 0.353
O 0.961 0.651 0.906
O 0.961 0.849 0.406